Compound: La3MgTi2N3O4
Source: Materials Project
Functional: PBE
Structure: optimized geometry

Values from the calculation:
Energy of formation from the pure elements: -2.421 eV per atom
Energy relative to the lowest polymorph listed for this composition: 0.0 meV per atom
Volume: 15.82 A^3/atom

a b c (Å): 19.437 3.995 5.521
angles (deg): 90.00 106.32 90.00
Space group Cm (No. 8)
Asymmetric unit:
La: 0.000 0.000 0.000 (multiplicity 2)
La: 0.130 0.500 0.628 (multiplicity 2)
La: 0.315 0.000 0.902 (multiplicity 2)
Mg: 0.314 0.500 0.402 (multiplicity 2)
Ti: 0.201 0.000 0.241 (multiplicity 2)
Ti: 0.428 0.000 0.472 (multiplicity 2)
N: 0.188 0.000 0.899 (multiplicity 2)
N: 0.314 0.000 0.358 (multiplicity 2)
N: 0.442 0.000 0.158 (multiplicity 2)
O: 0.021 0.500 0.748 (multiplicity 2)
O: 0.108 0.000 0.334 (multiplicity 2)
O: 0.207 0.500 0.345 (multiplicity 2)
O: 0.420 0.500 0.567 (multiplicity 2)

***

Compound: SiO2
Source: Materials Project
Functional: PBE
Structure: optimized geometry

Values from the calculation:
Energy of formation from the pure elements: -3.253 eV per atom
Volume: 20.22 A^3/atom

a b c (Å): 7.628 18.274 26.115
angles (deg): 90.00 90.00 90.00
Space group Pmmn (No. 59, origin choice 2)
Asymmetric unit:
Si: 0.045 0.055 0.139 (multiplicity 8)
Si: 0.046 0.054 0.953 (multiplicity 8)
Si: 0.046 0.559 0.746 (multiplicity 8)
Si: 0.047 0.025 0.644 (multiplicity 8)
Si: 0.047 0.666 0.412 (multiplicity 8)
Si: 0.250 0.079 0.398 (multiplicity 4)
Si: 0.250 0.163 0.296 (multiplicity 4)
Si: 0.250 0.165 0.504 (multiplicity 4)
Si: 0.250 0.664 0.897 (multiplicity 4)
Si: 0.250 0.665 0.021 (multiplicity 4)
O: 0.000 0.000 0.000 (multiplicity 4)
O: 0.002 0.610 0.366 (multiplicity 8)
O: 0.010 0.012 0.899 (multiplicity 8)
O: 0.013 0.750 0.393 (multiplicity 4)
O: 0.014 0.029 0.198 (multiplicity 8)
O: 0.021 0.007 0.705 (multiplicity 8)
O: 0.075 0.128 0.270 (multiplicity 8)
O: 0.075 0.626 0.044 (multiplicity 8)
O: 0.075 0.626 0.874 (multiplicity 8)
O: 0.076 0.029 0.390 (multiplicity 8)
O: 0.076 0.149 0.538 (multiplicity 8)
O: 0.250 0.010 0.628 (multiplicity 4)
O: 0.250 0.076 0.130 (multiplicity 4)
O: 0.250 0.078 0.956 (multiplicity 4)
O: 0.250 0.111 0.455 (multiplicity 4)
O: 0.250 0.146 0.357 (multiplicity 4)
O: 0.250 0.250 0.286 (multiplicity 2)
O: 0.250 0.250 0.485 (multiplicity 2)
O: 0.250 0.585 0.748 (multiplicity 4)
O: 0.250 0.656 0.959 (multiplicity 4)
O: 0.250 0.657 0.430 (multiplicity 4)
O: 0.250 0.750 0.037 (multiplicity 2)
O: 0.250 0.750 0.881 (multiplicity 2)